A plane-wave DFT calculation with PBE was carried out for a relaxed structure of SrMgSnP2O8.

Computed properties:
For the magnetization, the calculation gives 0.001 μB/f.u. The calculation puts the total energy at -88.918 eV/f.u.

a b c (Å): 5.611 7.154 10.056
angles (deg): 107.49 104.79 96.83
Space group P-1 (No. 2)
Symmetry-distinct sites (fractional):
Sr: 0.198 0.251 0.462 [2 per cell]
Mg: 0.379 0.222 0.862 [2 per cell]
Sn: 0.036 0.747 0.917 [2 per cell]
P: 0.154 0.700 0.287 [2 per cell]
P: 0.464 0.767 0.782 [2 per cell]
O: 0.066 0.325 0.854 [2 per cell]
O: 0.120 0.859 0.418 [2 per cell]
O: 0.121 0.487 0.303 [2 per cell]
O: 0.270 0.117 0.202 [2 per cell]
O: 0.279 0.919 0.801 [2 per cell]
O: 0.356 0.606 0.632 [2 per cell]
O: 0.418 0.749 0.268 [2 per cell]
O: 0.489 0.689 0.914 [2 per cell]

***

A plane-wave DFT calculation with PBE was carried out for a relaxed structure of Er6FeBi2.

Computed properties:
The calculation puts the total energy at -47.432 eV/f.u.

a b c (Å): 8.2435 8.2435 4.1342
angles (deg): 90.00 90.00 120.00
Space group P-62m (No. 189)
Symmetry-distinct sites (fractional):
Er: 0.0000 0.2284 0.0000 [3 per cell]
Er: 0.0000 0.6101 0.5000 [3 per cell]
Fe: 0.0000 0.0000 0.5000 [1 per cell]
Bi: 0.3333 0.6667 0.0000 [2 per cell]

***

A plane-wave DFT calculation with PBE was carried out for a relaxed structure of SmAg2Sn.

Computed properties:
For the magnetization, the calculation gives 0.002 μB/f.u. The calculation puts the total energy at -15.964 eV/f.u.

a b c (Å): 7.116 7.116 7.116
angles (deg): 90.00 90.00 90.00
Space group Fm-3m (No. 225)
Symmetry-distinct sites (fractional):
Sm: 0.000 0.000 0.000 [4 per cell]
Ag: 0.250 0.250 0.250 [8 per cell]
Sn: 0.000 0.000 0.500 [4 per cell]

***

Copy entry 1 word for word.
A plane-wave DFT calculation with PBE was carried out for a relaxed structure of SrMgSnP2O8.

Computed properties:
For the magnetization, the calculation gives 0.001 μB/f.u. The calculation puts the total energy at -88.918 eV/f.u.

a b c (Å): 5.611 7.154 10.056
angles (deg): 107.49 104.79 96.83
Space group P-1 (No. 2)
Symmetry-distinct sites (fractional):
Sr: 0.198 0.251 0.462 [2 per cell]
Mg: 0.379 0.222 0.862 [2 per cell]
Sn: 0.036 0.747 0.917 [2 per cell]
P: 0.154 0.700 0.287 [2 per cell]
P: 0.464 0.767 0.782 [2 per cell]
O: 0.066 0.325 0.854 [2 per cell]
O: 0.120 0.859 0.418 [2 per cell]
O: 0.121 0.487 0.303 [2 per cell]
O: 0.270 0.117 0.202 [2 per cell]
O: 0.279 0.919 0.801 [2 per cell]
O: 0.356 0.606 0.632 [2 per cell]
O: 0.418 0.749 0.268 [2 per cell]
O: 0.489 0.689 0.914 [2 per cell]